ZrPb4N4: relaxed, PBE. Values from VASP.

Cell and atoms, written as Quantum ESPRESSO input:
```
&SYSTEM
  ibrav = 0, nat = 18, ntyp = 3
/
ATOMIC_SPECIES
N 14.01 N.upf
Pb 207.20 Pb.upf
Zr 91.22 Zr.upf
CELL_PARAMETERS angstrom
6.904 1.011 -0.148
3.499 7.096 0.063
2.045 3.317 8.763
ATOMIC_POSITIONS angstrom
N 4.632 3.113 1.230
N 1.319 2.258 0.770
N 10.064 7.220 5.556
Pb 7.694 5.589 1.125
Pb 4.175 5.410 0.421
N 5.230 3.279 5.071
Zr 2.895 2.418 2.164
Pb 4.477 5.229 3.962
Pb 5.881 2.047 3.076
N 7.816 8.312 7.448
Pb 6.566 9.377 5.602
Zr 9.552 9.006 6.514
N 11.128 9.167 7.908
Pb 8.272 6.015 8.257
Pb 7.970 6.196 4.715
N 7.217 8.146 3.607
Pb 4.753 5.836 7.553
N 2.383 4.205 3.122
```

Properties
DFT formation energy: -0.069 eV per atom
crystal system: monoclinic
space-group type: No. 15
total energy: -6.214 eV per atom



PdN: relaxed, PBE. Values from VASP.

Cell and atoms, written as Quantum ESPRESSO input:
```
&SYSTEM
  ibrav = 0, nat = 4, ntyp = 2
/
ATOMIC_SPECIES
N 14.01 N.upf
Pd 106.42 Pd.upf
CELL_PARAMETERS angstrom
-1.301 2.534 0.710
-1.114 0.188 -2.710
-4.634 -2.857 1.706
ATOMIC_POSITIONS angstrom
N -3.476 -2.143 1.280
N -1.159 -0.714 0.427
Pd -0.557 0.094 -1.355
Pd -2.968 -0.161 1.208
```

Properties
E above lowest polymorph: 0 meV per atom
DFT formation energy: 0.663 eV per atom
crystal system: tetragonal
space-group type: No. 131
total energy: -5.914 eV per atom



| no. | total moment (μB/f.u.) |
| --- | --- |
| 1 | 0.0 |
| 2 | 0.0 |